## one
Density functional theory data (PBE+U) for SrCa7Ti2Mn6O24 after structural relaxation.

Cell: 7.6956 7.6573 7.6573 Å, 89.97 90.00 90.00°
Closest atoms and distances in Å follow each position.
Fractional positions:
Sr  0.2500  0.2528  0.2528  12 O 2.71-2.76
Ca  0.2500  0.2534  0.7468  12 O 2.67-2.74
Ca  0.2500  0.7468  0.2534  12 O 2.67-2.74
Ca  0.2500  0.7465  0.7465  12 O 2.64-2.73
Ca  0.7500  0.2534  0.2534  12 O 2.67-2.75
Ca  0.7500  0.2534  0.7465  12 O 2.67-2.74
Ca  0.7500  0.7465  0.2534  12 O 2.67-2.74
Ca  0.7500  0.7466  0.7466  12 O 2.67-2.74
Ti  0.9992  0.9991  0.9991  6 O 1.92-1.95
Ti  0.5008  0.9991  0.9991  6 O 1.92-1.95
Mn  0.9994  0.9994  0.5004  6 O 1.88-1.93
Mn  0.9994  0.5004  0.9994  6 O 1.88-1.93
Mn  0.9994  0.5005  0.5005  6 O 1.91-1.93
Mn  0.5006  0.9994  0.5004  6 O 1.88-1.93
Mn  0.5006  0.5004  0.9994  6 O 1.88-1.93
Mn  0.5006  0.5005  0.5005  6 O 1.91-1.93
O  0.9979  0.9980  0.2537  1 Mn 1.89, 1 Ti 1.95
O  0.9996  0.9995  0.7462  1 Mn 1.88, 1 Ti 1.94
O  0.9972  0.5027  0.2501  2 Mn 1.92
O  0.9997  0.5003  0.7498  2 Mn 1.91
O  0.5021  0.9980  0.2537  1 Mn 1.89, 1 Ti 1.95
O  0.5004  0.9995  0.7462  1 Mn 1.88, 1 Ti 1.94
O  0.5028  0.5027  0.2501  2 Mn 1.92
O  0.5003  0.5003  0.7498  2 Mn 1.91
O  0.2500  0.9983  0.9983  2 Ti 1.93
O  0.2500  0.9972  0.5030  2 Mn 1.93
O  0.2500  0.5030  0.9972  2 Mn 1.93
O  0.2500  0.5028  0.5028  2 Mn 1.93
O  0.7500  0.9995  0.9995  2 Ti 1.92
O  0.7500  0.9997  0.5001  2 Mn 1.92
O  0.7500  0.5001  0.9997  2 Mn 1.92
O  0.7500  0.5003  0.5003  2 Mn 1.92
O  0.9979  0.2537  0.9980  1 Mn 1.89, 1 Ti 1.95
O  0.9972  0.2501  0.5027  2 Mn 1.92
O  0.9996  0.7462  0.9995  1 Mn 1.88, 1 Ti 1.94
O  0.9997  0.7498  0.5003  2 Mn 1.91
O  0.5021  0.2537  0.9980  1 Mn 1.89, 1 Ti 1.95
O  0.5028  0.2501  0.5027  2 Mn 1.92
O  0.5004  0.7462  0.9995  1 Mn 1.88, 1 Ti 1.94
O  0.5003  0.7498  0.5003  2 Mn 1.91

Output
Total magnetization, μB/f.u.: 18.29

## two
Density functional theory data (PBE+U) for SrCa7Ti2Mn6O24 after structural relaxation.

Cell: 10.8789 15.2492 10.7452 Å, 90.01 90.01 89.99°
Closest atoms and distances in Å follow each position.
Fractional positions:
Sr  0.0114  0.1246  0.4983  8 O 2.45-2.71
Sr  0.4859  0.3766  0.0024  6 O 2.41-2.65
Sr  0.2352  0.3775  0.2471  8 O 2.43-2.69
Sr  0.2681  0.1244  0.2533  8 O 2.48-2.67
Ca  0.0173  0.1246  0.9956  8 O 2.38-2.66
Ca  0.0231  0.6252  0.4965  6 O 2.32-2.58
Ca  0.0230  0.6252  0.9968  7 O 2.32-2.60
Ca  0.5236  0.1247  0.4955  6 O 2.33-2.59
Ca  0.5245  0.1249  0.9953  6 O 2.34-2.58
Ca  0.5233  0.6253  0.4952  6 O 2.33-2.58
Ca  0.5230  0.6252  0.9957  6 O 2.34-2.58
Ca  0.4803  0.3766  0.5055  5 O 2.33-2.59
Ca  0.4792  0.8735  0.0051  6 O 2.33-2.58
Ca  0.4795  0.8733  0.5048  6 O 2.33-2.61
Ca  0.9769  0.3771  0.0043  7 O 2.36-2.63
Ca  0.9760  0.3770  0.5043  7 O 2.36-2.64
Ca  0.9762  0.8728  0.0044  7 O 2.35-2.63
Ca  0.9767  0.8730  0.5038  7 O 2.35-2.63
Ca  0.2286  0.3779  0.7444  6 O 2.34-2.58
Ca  0.2290  0.8721  0.2460  5 O 2.33-2.56
Ca  0.2287  0.8720  0.7456  6 O 2.33-2.58
Ca  0.7287  0.3749  0.2468  6 O 2.33-2.58
Ca  0.7271  0.3749  0.7452  6 O 2.35-2.61
Ca  0.7272  0.8751  0.2457  6 O 2.34-2.59
Ca  0.7268  0.8751  0.7453  6 O 2.34-2.59
Ca  0.2752  0.1245  0.7553  8 O 2.40-2.64
Ca  0.2734  0.6254  0.2528  7 O 2.33-2.59
Ca  0.2735  0.6255  0.7533  6 O 2.32-2.58
Ca  0.7662  0.1248  0.2536  4 O 2.31-2.48
Ca  0.7682  0.1250  0.7555  4 O 2.32-2.43
Ca  0.7726  0.6252  0.2544  6 O 2.34-2.58
Ca  0.7729  0.6249  0.7548  6 O 2.34-2.58
Ti  0.9966  0.9970  0.2495  6 O 1.96-1.98
Ti  0.9984  0.9980  0.7523  6 O 1.94-1.99
Ti  0.2512  0.9976  0.9991  6 O 1.95-1.99
Ti  0.2522  0.9973  0.5032  6 O 1.95-2.00
Ti  0.2498  0.2504  0.9979  6 O 1.95-2.00
Ti  0.2515  0.2518  0.5046  6 O 1.94-2.01
Ti  0.9955  0.2523  0.2500  6 O 1.95-1.98
Ti  0.9981  0.2518  0.7518  6 O 1.95-1.98
Mn  0.9993  0.5022  0.2508  6 O 1.91-1.98
Mn  0.0002  0.5016  0.7507  6 O 1.92-1.97
Mn  0.5027  0.9989  0.2519  6 O 1.92-1.97
Mn  0.5022  0.9995  0.7520  6 O 1.91-1.97
Mn  0.5027  0.5025  0.2507  6 O 1.94-1.97
Mn  0.5006  0.5014  0.7479  6 O 1.94-1.97
Mn  0.2498  0.5028  0.9971  6 O 1.93-1.98
Mn  0.2507  0.5025  0.5009  6 O 1.91-1.97
Mn  0.7479  0.9988  0.0013  6 O 1.91-1.97
Mn  0.7463  0.9983  0.5013  6 O 1.92-1.97
Mn  0.7520  0.5015  0.0009  6 O 1.94-1.98
Mn  0.7501  0.5009  0.5010  6 O 1.94-1.96
Mn  0.2505  0.7488  0.9986  6 O 1.92-1.98
Mn  0.2510  0.7487  0.4990  6 O 1.91-1.98
Mn  0.7495  0.2498  0.0020  6 O 1.90-1.98
Mn  0.7463  0.2512  0.5016  6 O 1.91-1.97
Mn  0.7501  0.7500  0.0001  6 O 1.94-1.97
Mn  0.7499  0.7495  0.5007  6 O 1.94-1.97
Mn  0.0002  0.7485  0.2507  6 O 1.91-1.98
Mn  0.0003  0.7486  0.7509  6 O 1.92-1.98
Mn  0.5040  0.2486  0.2521  6 O 1.92-1.98
Mn  0.5017  0.2492  0.7500  6 O 1.91-1.97
Mn  0.5009  0.7501  0.2503  6 O 1.93-1.97
Mn  0.5005  0.7499  0.7501  6 O 1.95-1.96
O  0.1049  0.2663  0.1041  2 Ti 1.96-1.98
O  0.1062  0.2696  0.6082  2 Ti 1.95-1.96
O  0.1050  0.7705  0.1034  2 Mn 1.97-1.98
O  0.1048  0.7704  0.6036  2 Mn 1.98
O  0.6091  0.2665  0.1074  2 Mn 1.92-1.95
O  0.6028  0.2697  0.6013  2 Mn 1.91-1.97
O  0.6045  0.7702  0.1032  2 Mn 1.96-1.97
O  0.6044  0.7702  0.6034  2 Mn 1.96
O  0.3980  0.2343  0.3937  1 Mn 1.92, 1 Ti 2.01
O  0.3967  0.2305  0.8899  1 Mn 1.91, 1 Ti 2.00
O  0.3964  0.7287  0.3965  2 Mn 1.95-1.97
O  0.3965  0.7289  0.8964  2 Mn 1.95-1.96
O  0.8854  0.2361  0.3913  1 Mn 1.94, 1 Ti 1.95
O  0.8916  0.2328  0.8976  1 Mn 1.93, 1 Ti 1.97
O  0.8962  0.7289  0.3976  2 Mn 1.96-1.97
O  0.8963  0.7289  0.8974  2 Mn 1.96
O  0.1387  0.2377  0.3604  2 Ti 1.97-1.99
O  0.1439  0.2328  0.8533  2 Ti 1.95
O  0.1467  0.7284  0.3529  2 Mn 1.96
O  0.1465  0.7284  0.8525  2 Mn 1.95-1.96
O  0.6464  0.2296  0.3543  2 Mn 1.92-1.95
O  0.6462  0.2304  0.8532  2 Mn 1.94-1.98
O  0.6462  0.7293  0.3532  2 Mn 1.96-1.97
O  0.6460  0.7293  0.8530  2 Mn 1.96-1.97
O  0.3626  0.2629  0.1407  1 Mn 1.96, 1 Ti 1.97
O  0.3578  0.2677  0.6482  1 Mn 1.93, 1 Ti 1.94
O  0.3552  0.7703  0.1461  2 Mn 1.96-1.98
O  0.3553  0.7702  0.6464  2 Mn 1.96-1.98
O  0.8533  0.2692  0.1414  1 Mn 1.90, 1 Ti 1.95
O  0.8534  0.2683  0.6420  1 Mn 1.92, 1 Ti 1.98
O  0.8540  0.7707  0.1467  2 Mn 1.96-1.97
O  0.8541  0.7707  0.6470  2 Mn 1.97
O  0.3584  0.4875  0.1422  2 Mn 1.97
O  0.3549  0.4814  0.6466  2 Mn 1.95-1.96
O  0.3589  0.9804  0.1452  1 Mn 1.96, 1 Ti 1.98
O  0.3578  0.9804  0.6481  1 Mn 1.95, 1 Ti 1.95
O  0.8545  0.4798  0.1465  2 Mn 1.95-1.96
O  0.8541  0.4793  0.6470  2 Mn 1.96-1.97
O  0.8523  0.9801  0.1418  1 Mn 1.91, 1 Ti 1.97
O  0.8534  0.9815  0.6419  1 Mn 1.92, 1 Ti 1.99
O  0.1398  0.0114  0.3589  2 Ti 1.96-1.99
O  0.1439  0.0162  0.8539  2 Ti 1.94-1.97
O  0.1448  0.5229  0.3549  2 Mn 1.96-1.97
O  0.1461  0.5225  0.8517  2 Mn 1.95
O  0.6465  0.0198  0.3530  2 Mn 1.93-1.96
O  0.6469  0.0203  0.8523  2 Mn 1.93-1.97
O  0.6462  0.5213  0.3544  2 Mn 1.94-1.96
O  0.6450  0.5199  0.8540  2 Mn 1.96-1.98
O  0.3987  0.0162  0.3946  1 Mn 1.92, 1 Ti 2.00
O  0.3979  0.0182  0.8930  1 Mn 1.91, 1 Ti 1.99
O  0.3957  0.5207  0.3961  2 Mn 1.96-1.97
O  0.3946  0.5228  0.8930  2 Mn 1.96-1.97
O  0.8858  0.0131  0.3912  1 Mn 1.94, 1 Ti 1.96
O  0.8915  0.0169  0.8977  1 Mn 1.94, 1 Ti 1.97
O  0.8954  0.5218  0.3978  2 Mn 1.96-1.97
O  0.8962  0.5213  0.8974  2 Mn 1.95-1.96
O  0.1024  0.4826  0.1018  2 Mn 1.98
O  0.1042  0.4801  0.6044  2 Mn 1.97
O  0.1063  0.9813  0.1049  2 Ti 1.96-1.97
O  0.1071  0.9797  0.6075  2 Ti 1.96-1.97
O  0.6105  0.4848  0.1089  2 Mn 1.94
O  0.6047  0.4810  0.6022  2 Mn 1.94-1.96
O  0.6032  0.9785  0.1019  2 Mn 1.93-1.97
O  0.6026  0.9791  0.6024  2 Mn 1.93-1.97
O  0.0015  0.3790  0.2846  1 Mn 1.91, 1 Ti 1.97
O  0.0075  0.3782  0.7867  1 Mn 1.92, 1 Ti 1.97
O  0.0079  0.8710  0.2848  1 Mn 1.91, 1 Ti 1.96
O  0.0077  0.8717  0.7869  1 Mn 1.92, 1 Ti 1.96
O  0.5099  0.3758  0.2876  2 Mn 1.97-1.98
O  0.5114  0.3754  0.7795  2 Mn 1.95
O  0.5118  0.8743  0.2905  2 Mn 1.95
O  0.5114  0.8746  0.7907  2 Mn 1.95
O  0.4991  0.1236  0.2118  2 Mn 1.95-1.96
O  0.4913  0.1245  0.7102  2 Mn 1.95-1.96
O  0.4905  0.6266  0.2113  2 Mn 1.93-1.94
O  0.4901  0.6255  0.7093  2 Mn 1.94-1.95
O  0.9914  0.1246  0.2176  2 Ti 1.98
O  0.9897  0.1248  0.7248  2 Ti 1.96
O  0.9885  0.6254  0.2100  2 Mn 1.93
O  0.9888  0.6250  0.7098  2 Mn 1.94
O  0.2404  0.1242  0.0246  2 Ti 1.95
O  0.2472  0.1247  0.5333  2 Ti 1.96-1.97
O  0.2387  0.6261  0.0392  2 Mn 1.93-1.94
O  0.2399  0.6254  0.5406  2 Mn 1.93-1.94
O  0.7397  0.1241  0.0399  2 Mn 1.96
O  0.7405  0.1248  0.5403  2 Mn 1.97
O  0.7403  0.6259  0.0391  2 Mn 1.94
O  0.7393  0.6252  0.5401  2 Mn 1.95
O  0.2597  0.3784  0.4746  1 Mn 1.91, 1 Ti 1.96
O  0.2527  0.3782  0.9647  1 Mn 1.93, 1 Ti 1.98
O  0.2601  0.8714  0.4642  1 Mn 1.91, 1 Ti 1.97
O  0.2587  0.8721  0.9628  1 Mn 1.92, 1 Ti 1.95
O  0.7587  0.3763  0.4617  2 Mn 1.95-1.96
O  0.7579  0.3757  0.9614  2 Mn 1.97
O  0.7590  0.8737  0.4611  2 Mn 1.94-1.95
O  0.7598  0.8742  0.9600  2 Mn 1.95

Output
Total magnetization, μB/f.u.: 18.00

Of them, two has the highest stability.